No. 1
# Zn2NiIrO6

A geometry-optimized Zn2NiIrO6 structure (PBE with a Hubbard U, the Materials Project).

a b c (Å): 7.395 9.250 7.395
angles (deg): 66.88 90.38 113.12
Positions (direct):
O 0.700 0.425 0.119
O 0.631 0.925 0.050
O 0.369 0.075 0.950
O 0.131 0.925 0.550
O 0.721 0.739 0.868
O 0.534 0.056 0.300
O 0.550 0.443 0.784
O 0.450 0.556 0.216
O 0.200 0.425 0.619
O 0.118 0.761 0.972
O 0.300 0.575 0.881
O 0.034 0.056 0.800
O 0.382 0.239 0.529
O 0.221 0.739 0.368
O 0.050 0.443 0.284
O 0.778 0.261 0.632
O 0.869 0.075 0.450
O 0.618 0.761 0.472
O 0.466 0.943 0.700
O 0.882 0.239 0.029
O 0.800 0.575 0.381
O 0.950 0.556 0.716
O 0.278 0.261 0.132
O 0.966 0.943 0.200
Zn 0.347 0.742 0.122
Zn 0.628 0.242 0.402
Zn 0.371 0.758 0.598
Zn 0.652 0.258 0.879
Zn 0.152 0.258 0.379
Zn 0.848 0.742 0.622
Zn 0.871 0.758 0.098
Zn 0.128 0.242 0.902
Ir 0.000 0.500 0.500
Ir 0.500 0.500 0.000
Ir 0.250 0.000 0.750
Ir 0.750 0.000 0.250
Ni 0.751 0.001 0.749
Ni 0.251 0.000 0.249
Ni 0.000 0.500 0.000
Ni 0.501 0.501 0.500

Properties
For the calculated total energy, the calculation gives -214.11 eV per cell. Its formation energy from the elements is -1.34 eV/atom. The corrected total energy (MP2020 scheme) comes out at -6.019 eV/atom.

No. 2
# Gd3WCl3O6

A geometry-optimized Gd3WCl3O6 structure (PBE with a Hubbard U, the Materials Project).

a b c (Å): 9.221 9.221 5.333
angles (deg): 90.00 90.00 120.00
Positions (direct):
Gd 0.090 0.685 0.250
Gd 0.315 0.405 0.250
Gd 0.405 0.090 0.750
Gd 0.595 0.910 0.250
Gd 0.685 0.595 0.750
Gd 0.910 0.315 0.750
W 0.333 0.667 0.750
W 0.667 0.333 0.250
Cl 0.049 0.809 0.750
Cl 0.191 0.240 0.750
Cl 0.240 0.049 0.250
Cl 0.760 0.951 0.750
Cl 0.809 0.760 0.250
Cl 0.951 0.191 0.250
O 0.157 0.522 0.514
O 0.157 0.522 0.986
O 0.365 0.843 0.514
O 0.365 0.843 0.986
O 0.478 0.635 0.514
O 0.478 0.635 0.986
O 0.522 0.365 0.014
O 0.522 0.365 0.486
O 0.635 0.157 0.014
O 0.635 0.157 0.486
O 0.843 0.478 0.014
O 0.843 0.478 0.486

Properties
For the calculated total energy, the calculation gives -240.20 eV per cell. Its formation energy from the elements is -2.94 eV/atom. The corrected total energy (MP2020 scheme) comes out at -9.897 eV/atom. The symmetry is P6_3/m, No. 176.

No. 3
# Li7Mn4P8O28

A geometry-optimized Li7Mn4P8O28 structure (PBE with a Hubbard U, the Materials Project).

a b c (Å): 9.907 9.928 11.373
angles (deg): 77.11 89.81 89.69
Positions (direct):
Li 0.000 0.000 0.000
Li 0.014 0.571 0.986
Li 0.030 0.585 0.483
Li 0.195 0.234 0.582
Li 0.200 0.262 0.073
Li 0.218 0.828 0.057
Li 0.328 0.528 0.581
Li 0.500 0.330 0.059
Li 0.528 0.753 0.570
Li 0.673 0.077 0.492
Li 0.696 0.066 0.987
Li 0.713 0.503 0.002
Li 0.827 0.804 0.477
Li 0.887 0.302 0.477
Mn 0.030 0.714 0.704
Mn 0.190 0.117 0.358
Mn 0.324 0.663 0.854
Mn 0.392 0.153 0.854
Mn 0.525 0.620 0.348
Mn 0.683 0.213 0.702
Mn 0.819 0.673 0.205
Mn 0.892 0.169 0.207
P 0.040 0.855 0.272
P 0.060 0.441 0.269
P 0.156 0.389 0.790
P 0.175 0.975 0.785
P 0.256 0.793 0.453
P 0.313 0.534 0.138
P 0.402 0.033 0.138
P 0.457 0.295 0.454
P 0.539 0.475 0.786
P 0.561 0.891 0.783
P 0.654 0.939 0.270
P 0.675 0.356 0.273
P 0.757 0.539 0.603
P 0.814 0.796 0.922
P 0.903 0.297 0.920
P 0.958 0.039 0.602
O 0.007 0.321 0.806
O 0.020 0.439 0.398
O 0.024 0.001 0.299
O 0.027 0.028 0.732
O 0.042 0.852 0.140
O 0.044 0.141 0.510
O 0.075 0.291 0.245
O 0.146 0.537 0.817
O 0.168 0.974 0.919
O 0.172 0.689 0.546
O 0.186 0.796 0.323
O 0.194 0.391 0.660
O 0.195 0.830 0.758
O 0.205 0.512 0.251
O 0.243 0.638 0.032
O 0.246 0.297 0.886
O 0.260 0.940 0.469
O 0.277 0.084 0.722
O 0.281 0.103 0.186
O 0.316 0.238 0.443
O 0.330 0.396 0.104
O 0.377 0.898 0.106
O 0.397 0.730 0.445
O 0.434 0.580 0.717
O 0.435 0.592 0.189
O 0.447 0.446 0.469
O 0.460 0.810 0.873
O 0.473 0.138 0.032
O 0.506 0.008 0.252
O 0.520 0.329 0.760
O 0.527 0.301 0.323
O 0.539 0.895 0.652
O 0.542 0.479 0.918
O 0.549 0.204 0.546
O 0.574 0.040 0.812
O 0.646 0.787 0.253
O 0.670 0.639 0.511
O 0.673 0.352 0.141
O 0.687 0.529 0.734
O 0.692 0.501 0.300
O 0.694 0.942 0.398
O 0.707 0.817 0.812
O 0.745 0.026 0.172
O 0.755 0.687 0.029
O 0.768 0.390 0.586
O 0.779 0.232 0.875
O 0.781 0.253 0.342
O 0.817 0.104 0.610
O 0.832 0.935 0.953
O 0.883 0.435 0.952
O 0.896 0.603 0.610
O 0.934 0.751 0.341
O 0.939 0.736 0.872
O 0.947 0.893 0.581
O 0.966 0.528 0.173
O 0.973 0.192 0.026

Properties
For the calculated total energy, the calculation gives -659.28 eV per cell. For the relative energy among the computed polymorphs, the calculation gives 0.003 eV/atom. Its formation energy from the elements is -2.63 eV/atom. The corrected total energy (MP2020 scheme) comes out at -7.565 eV/atom. The symmetry is P1, No. 1.

No. 4
# Li2MgCr3S6O24

A geometry-optimized Li2MgCr3S6O24 structure (PBE with a Hubbard U, the Materials Project).

a b c (Å): 8.392 8.453 8.961
angles (deg): 62.41 63.21 60.40
Positions (direct):
Li 0.000 0.000 0.000
Li 0.420 0.336 0.002
Mg 0.401 0.728 0.915
Cr 0.084 0.424 0.827
Cr 0.596 0.916 0.316
Cr 0.879 0.218 0.445
S 0.187 0.119 0.629
S 0.271 0.038 0.128
S 0.489 0.518 0.630
S 0.701 0.326 0.122
S 0.781 0.827 0.625
S 0.997 0.604 0.120
O 0.125 0.068 0.294
O 0.199 0.937 0.780
O 0.204 0.567 0.076
O 0.207 0.256 0.675
O 0.241 0.917 0.074
O 0.261 0.231 0.985
O 0.287 0.540 0.671
O 0.335 0.089 0.468
O 0.465 0.954 0.146
O 0.510 0.529 0.782
O 0.532 0.667 0.468
O 0.577 0.527 0.074
O 0.597 0.853 0.764
O 0.618 0.201 0.130
O 0.621 0.324 0.610
O 0.729 0.267 0.294
O 0.760 0.870 0.455
O 0.867 0.957 0.605
O 0.884 0.802 0.128
O 0.895 0.285 0.984
O 0.917 0.625 0.671
O 0.936 0.467 0.292
O 0.959 0.591 0.979
O 0.991 0.202 0.610

Properties
For the calculated total energy, the calculation gives -231.73 eV per cell. For the relative energy among the computed polymorphs, the calculation gives 0.002 eV/atom. Its formation energy from the elements is -2.12 eV/atom. The corrected total energy (MP2020 scheme) comes out at -7.062 eV/atom. The symmetry is P1, No. 1.

Please write out number 3 again, unchanged.
# Li7Mn4P8O28

A geometry-optimized Li7Mn4P8O28 structure (PBE with a Hubbard U, the Materials Project).

a b c (Å): 9.907 9.928 11.373
angles (deg): 77.11 89.81 89.69
Positions (direct):
Li 0.000 0.000 0.000
Li 0.014 0.571 0.986
Li 0.030 0.585 0.483
Li 0.195 0.234 0.582
Li 0.200 0.262 0.073
Li 0.218 0.828 0.057
Li 0.328 0.528 0.581
Li 0.500 0.330 0.059
Li 0.528 0.753 0.570
Li 0.673 0.077 0.492
Li 0.696 0.066 0.987
Li 0.713 0.503 0.002
Li 0.827 0.804 0.477
Li 0.887 0.302 0.477
Mn 0.030 0.714 0.704
Mn 0.190 0.117 0.358
Mn 0.324 0.663 0.854
Mn 0.392 0.153 0.854
Mn 0.525 0.620 0.348
Mn 0.683 0.213 0.702
Mn 0.819 0.673 0.205
Mn 0.892 0.169 0.207
P 0.040 0.855 0.272
P 0.060 0.441 0.269
P 0.156 0.389 0.790
P 0.175 0.975 0.785
P 0.256 0.793 0.453
P 0.313 0.534 0.138
P 0.402 0.033 0.138
P 0.457 0.295 0.454
P 0.539 0.475 0.786
P 0.561 0.891 0.783
P 0.654 0.939 0.270
P 0.675 0.356 0.273
P 0.757 0.539 0.603
P 0.814 0.796 0.922
P 0.903 0.297 0.920
P 0.958 0.039 0.602
O 0.007 0.321 0.806
O 0.020 0.439 0.398
O 0.024 0.001 0.299
O 0.027 0.028 0.732
O 0.042 0.852 0.140
O 0.044 0.141 0.510
O 0.075 0.291 0.245
O 0.146 0.537 0.817
O 0.168 0.974 0.919
O 0.172 0.689 0.546
O 0.186 0.796 0.323
O 0.194 0.391 0.660
O 0.195 0.830 0.758
O 0.205 0.512 0.251
O 0.243 0.638 0.032
O 0.246 0.297 0.886
O 0.260 0.940 0.469
O 0.277 0.084 0.722
O 0.281 0.103 0.186
O 0.316 0.238 0.443
O 0.330 0.396 0.104
O 0.377 0.898 0.106
O 0.397 0.730 0.445
O 0.434 0.580 0.717
O 0.435 0.592 0.189
O 0.447 0.446 0.469
O 0.460 0.810 0.873
O 0.473 0.138 0.032
O 0.506 0.008 0.252
O 0.520 0.329 0.760
O 0.527 0.301 0.323
O 0.539 0.895 0.652
O 0.542 0.479 0.918
O 0.549 0.204 0.546
O 0.574 0.040 0.812
O 0.646 0.787 0.253
O 0.670 0.639 0.511
O 0.673 0.352 0.141
O 0.687 0.529 0.734
O 0.692 0.501 0.300
O 0.694 0.942 0.398
O 0.707 0.817 0.812
O 0.745 0.026 0.172
O 0.755 0.687 0.029
O 0.768 0.390 0.586
O 0.779 0.232 0.875
O 0.781 0.253 0.342
O 0.817 0.104 0.610
O 0.832 0.935 0.953
O 0.883 0.435 0.952
O 0.896 0.603 0.610
O 0.934 0.751 0.341
O 0.939 0.736 0.872
O 0.947 0.893 0.581
O 0.966 0.528 0.173
O 0.973 0.192 0.026

Properties
For the calculated total energy, the calculation gives -659.28 eV per cell. For the relative energy among the computed polymorphs, the calculation gives 0.003 eV/atom. Its formation energy from the elements is -2.63 eV/atom. The corrected total energy (MP2020 scheme) comes out at -7.565 eV/atom. The symmetry is P1, No. 1.

> Which value of calculated total energy does entry 2 give?

-240.20 eV per cell

> Among the records above, which one has the lowest formation energy from the elements?

Gd3WCl3O6

> formation energy from the elements of number 4 (Li2MgCr3S6O24)?

-2.12 eV/atom